A plane-wave DFT calculation with PBE-GGA was carried out for a relaxed structure of SrCuSi.

Values from the calculation:
* E_form: -0.31 eV per atom
* raw total energy: -4.073 eV per atom
* E (MP2020): -12.147 eV for the cell shown

a b c (Å): 4.140 4.140 4.665
angles (deg): 90.00 90.00 120.00
Atoms (fractional coordinates):
Sr 0.333 0.667 0.000
Si 0.000 0.000 0.500
Cu 0.667 0.333 0.500



A plane-wave DFT calculation with PBE-GGA was carried out for a relaxed structure of SrCuSi.

Values from the calculation:
* E_form: -0.32 eV per atom
* raw total energy: -4.077 eV per atom
* E (MP2020): -24.323 eV for the cell shown

a b c (Å): 4.094 4.094 9.349
angles (deg): 90.00 90.00 120.00
Atoms (fractional coordinates):
Cu 0.667 0.333 0.250
Cu 0.333 0.667 0.750
Si 0.667 0.333 0.750
Si 0.333 0.667 0.250
Sr 0.000 0.000 0.500
Sr 0.000 0.000 0.000



A plane-wave DFT calculation with PBE-GGA was carried out for a relaxed structure of SrCu9Si4.

Values from the calculation:
* magnetic moment: 0.0 μB per formula unit
* E_form: -0.20 eV per atom
* raw total energy: -4.526 eV per atom
* E (MP2020): -126.162 eV for the cell shown

a b c (Å): 8.188 8.188 8.188
angles (deg): 120.26 120.26 89.55
Atoms (fractional coordinates):
Cu 0.297 0.564 0.861
Cu 0.203 0.064 0.268
Cu 0.064 0.797 0.861
Cu 0.564 0.703 0.268
Cu 0.807 0.059 0.500
Cu 0.559 0.307 0.500
Cu 0.936 0.203 0.139
Cu 0.797 0.936 0.732
Cu 0.307 0.807 0.748
Cu 0.193 0.941 0.500
Cu 0.000 0.500 0.500
Cu 0.500 0.000 0.500
Cu 0.441 0.693 0.500
Cu 0.059 0.559 0.252
Cu 0.941 0.441 0.748
Cu 0.703 0.436 0.139
Cu 0.693 0.193 0.252
Cu 0.436 0.297 0.732
Si 0.440 0.940 0.148
Si 0.940 0.792 0.500
Si 0.560 0.060 0.852
Si 0.792 0.292 0.852
Si 0.060 0.208 0.500
Si 0.708 0.560 0.500
Si 0.208 0.708 0.148
Si 0.292 0.440 0.500
Sr 0.750 0.750 0.000
Sr 0.250 0.250 0.000



A plane-wave DFT calculation with PBE-GGA was carried out for a relaxed structure of TbCu2Si2.

Values from the calculation:
* E_form: -0.57 eV per atom
* raw total energy: -5.338 eV per atom
* E (MP2020): -26.547 eV for the cell shown

a b c (Å): 5.724 5.724 5.724
angles (deg): 139.34 139.34 58.86
Atoms (fractional coordinates):
Cu 0.250 0.750 0.500
Cu 0.750 0.250 0.500
Si 0.618 0.618 0.000
Si 0.382 0.382 0.000
Tb 0.000 0.000 0.000



A plane-wave DFT calculation with PBE-GGA was carried out for a relaxed structure of Cu2SiTe3.

Values from the calculation:
* E_form: -0.28 eV per atom
* raw total energy: -3.916 eV per atom
* E (MP2020): -49.522 eV for the cell shown

a b c (Å): 7.311 7.311 7.307
angles (deg): 80.57 80.57 120.14
Atoms (fractional coordinates):
Cu 0.991 0.166 0.504
Cu 0.166 0.991 0.004
Cu 0.843 0.338 0.001
Cu 0.338 0.843 0.501
Te 0.708 0.217 0.373
Te 0.217 0.708 0.873
Te 0.885 0.048 0.877
Te 0.544 0.370 0.874
Te 0.048 0.885 0.377
Te 0.370 0.544 0.374
Si 0.681 0.515 0.487
Si 0.515 0.681 0.987



A plane-wave DFT calculation with PBE-GGA was carried out for a relaxed structure of Cu2SiTe3.

Values from the calculation:
* E_form: -0.28 eV per atom
* raw total energy: -3.915 eV per atom
* E (MP2020): -24.758 eV for the cell shown

a b c (Å): 7.278 7.278 7.278
angles (deg): 146.03 131.79 60.28
Atoms (fractional coordinates):
Si 0.510 0.500 0.010
Te 0.246 0.000 0.246
Te 0.918 0.667 0.251
Te 0.583 0.333 0.251
Cu 0.163 0.167 0.996
Cu 0.829 0.833 0.996



A plane-wave DFT calculation with PBE-GGA was carried out for a relaxed structure of ThCu2Si2.

Values from the calculation:
* E_form: -0.55 eV per atom
* raw total energy: -5.871 eV per atom
* E (MP2020): -29.211 eV for the cell shown

a b c (Å): 5.724 5.724 5.724
angles (deg): 137.96 137.96 60.97
Atoms (fractional coordinates):
Th 0.000 0.000 0.000
Si 0.621 0.621 0.000
Si 0.379 0.379 0.000
Cu 0.750 0.250 0.500
Cu 0.250 0.750 0.500



A plane-wave DFT calculation with PBE-GGA was carried out for a relaxed structure of Th2CuSi3.

Values from the calculation:
* E_form: -0.66 eV per atom
* raw total energy: -6.561 eV per atom
* E (MP2020): -39.154 eV for the cell shown

a b c (Å): 4.147 4.147 8.148
angles (deg): 90.00 90.00 120.00
Atoms (fractional coordinates):
Si 0.000 0.000 0.500
Si 0.000 0.000 0.000
Si 0.667 0.333 0.500
Th 0.333 0.667 0.746
Th 0.333 0.667 0.254
Cu 0.667 0.333 0.000



A plane-wave DFT calculation with PBE-GGA was carried out for a relaxed structure of TiCuSi.

Values from the calculation:
* E_form: -0.52 eV per atom
* raw total energy: -6.348 eV per atom
* E (MP2020): -75.889 eV for the cell shown

a b c (Å): 3.725 6.216 7.174
angles (deg): 90.00 90.00 90.00
Atoms (fractional coordinates):
Si 0.750 0.234 0.622
Si 0.750 0.734 0.878
Si 0.250 0.266 0.122
Si 0.250 0.766 0.378
Cu 0.250 0.150 0.435
Cu 0.250 0.650 0.065
Cu 0.750 0.850 0.565
Cu 0.750 0.350 0.935
Ti 0.250 0.522 0.679
Ti 0.250 0.022 0.821
Ti 0.750 0.978 0.179
Ti 0.750 0.478 0.321



A plane-wave DFT calculation with PBE-GGA was carried out for a relaxed structure of TmCuSi.

Values from the calculation:
* E_form: -0.64 eV per atom
* raw total energy: -5.332 eV per atom
* E (MP2020): -31.849 eV for the cell shown

a b c (Å): 4.129 4.129 7.276
angles (deg): 90.00 90.00 120.00
Atoms (fractional coordinates):
Cu 0.333 0.667 0.750
Cu 0.667 0.333 0.250
Si 0.333 0.667 0.250
Si 0.667 0.333 0.750
Tm 0.000 0.000 0.500
Tm 0.000 0.000 0.000